Material: CaSnBiO5
Method: DFT, PBE
State: optimized geometry

Unit cell a=5.5197 b=10.5621 c=15.8925 alpha=90.00 beta=90.00 gamma=90.00
Closest atoms and distances in Å follow each position.
Sites, in units of the cell vectors:
1 O 0.6256 0.8107 0.6834  1 Sn 2.15, 2 Bi 2.23-2.26
2 Sn 0.5379 0.1199 0.4300  6 O 2.06-2.21
3 O 0.7392 0.0114 0.3388  1 Sn 2.16
4 Sn 0.4621 0.3801 0.9300  6 O 2.06-2.21
5 O 0.8744 0.8107 0.1834  1 Sn 2.15, 2 Bi 2.23-2.26
6 Bi 0.4707 0.6474 0.7546  5 O 2.19-2.44
7 Bi 0.4707 0.1474 0.7454  5 O 2.19-2.44
8 O 0.3744 0.6893 0.1834  1 Sn 2.15, 2 Bi 2.23-2.26
9 Sn 0.0379 0.3801 0.4300  6 O 2.06-2.21
10 Ca 0.4570 0.6312 0.4312  7 O 2.32-2.53
11 O 0.7608 0.0114 0.8388  1 Sn 2.16
12 O 0.2222 0.4957 0.5265  2 Sn 2.06-2.21
13 O 0.2778 0.4957 0.0265  2 Sn 2.06-2.21
14 Bi 0.9707 0.8526 0.7546  5 O 2.19-2.44
15 O 0.7944 0.2438 0.4778  2 Sn 2.07-2.11
16 Bi 0.0293 0.6474 0.2546  5 O 2.19-2.44
17 O 0.2392 0.4886 0.3388  1 Sn 2.16
18 O 0.7335 0.2197 0.1666  2 Bi 2.19, 1 Ca 2.37
19 Ca 0.5430 0.3688 0.5688  7 O 2.32-2.53
20 O 0.7778 0.5043 0.4735  2 Sn 2.06-2.21
21 O 0.1256 0.1893 0.8166  1 Sn 2.15, 2 Bi 2.23-2.26
22 O 0.2222 0.9957 0.9735  2 Sn 2.06-2.21
23 Bi 0.5293 0.3526 0.2454  5 O 2.19-2.44
24 O 0.3744 0.1893 0.3166  1 Sn 2.15, 2 Bi 2.23-2.26
25 O 0.2056 0.2562 0.9778  2 Sn 2.07-2.11
26 O 0.6256 0.3107 0.8166  1 Sn 2.15, 2 Bi 2.23-2.26
27 O 0.2778 0.9957 0.4735  2 Sn 2.06-2.21
28 O 0.7335 0.7197 0.3334  2 Bi 2.19, 1 Ca 2.37
29 O 0.7778 0.0043 0.0265  2 Sn 2.06-2.21
30 Sn 0.4621 0.8801 0.5700  6 O 2.06-2.21
31 Sn 0.9621 0.6199 0.5700  6 O 2.06-2.21
32 Sn 0.0379 0.8801 0.0700  6 O 2.06-2.21
33 Ca 0.9570 0.3688 0.0688  7 O 2.32-2.53
34 O 0.2335 0.2803 0.1666  2 Bi 2.19, 1 Ca 2.37
35 O 0.2608 0.9886 0.6612  1 Sn 2.16
36 O 0.7608 0.5114 0.6612  1 Sn 2.16
37 O 0.2944 0.2562 0.4778  2 Sn 2.07-2.11
38 O 0.2665 0.7803 0.8334  2 Bi 2.19, 1 Ca 2.37
39 Ca 0.4570 0.1312 0.0688  7 O 2.32-2.53
40 O 0.7056 0.2438 0.9778  2 Sn 2.07-2.11
41 O 0.2056 0.7562 0.5222  2 Sn 2.07-2.11
42 Bi 0.0293 0.1474 0.2454  5 O 2.19-2.44
43 O 0.7665 0.7197 0.8334  2 Bi 2.19, 1 Ca 2.37
44 O 0.7665 0.2197 0.6666  2 Bi 2.19, 1 Ca 2.37
45 Bi 0.5293 0.8526 0.2546  5 O 2.19-2.44
46 Sn 0.9621 0.1199 0.9300  6 O 2.06-2.21
47 O 0.7222 0.5043 0.9735  2 Sn 2.06-2.21
48 O 0.1256 0.6893 0.6834  1 Sn 2.15, 2 Bi 2.23-2.26
49 O 0.2944 0.7562 0.0222  2 Sn 2.07-2.11
50 Sn 0.5379 0.6199 0.0700  6 O 2.06-2.21
51 O 0.2392 0.9886 0.1612  1 Sn 2.16
52 O 0.2665 0.2803 0.6666  2 Bi 2.19, 1 Ca 2.37
53 O 0.7222 0.0043 0.5265  2 Sn 2.06-2.21
54 Ca 0.0430 0.1312 0.5688  7 O 2.32-2.53
55 O 0.7392 0.5114 0.1612  1 Sn 2.16
56 O 0.2335 0.7803 0.3334  2 Bi 2.19, 1 Ca 2.37
57 Ca 0.9570 0.8688 0.4312  7 O 2.32-2.53
58 Ca 0.5430 0.8688 0.9312  7 O 2.32-2.53
59 Ca 0.0430 0.6312 0.9312  7 O 2.32-2.53
60 O 0.7944 0.7438 0.0222  2 Sn 2.07-2.11
61 O 0.8744 0.3107 0.3166  1 Sn 2.15, 2 Bi 2.23-2.26
62 Bi 0.9707 0.3526 0.7454  5 O 2.19-2.44
63 O 0.2608 0.4886 0.8388  1 Sn 2.16
64 O 0.7056 0.7438 0.5222  2 Sn 2.07-2.11

Properties
Total moment ... 0.00 μB/atom
ΔE to the lowest computed polymorph ... 0 meV per atom
ΔE_f ... -2133 meV per atom
Density ... 6.42 g cm⁻³



Material: In2P3S9
Method: DFT, PBE
State: optimized geometry

Unit cell a=10.6851 b=7.4110 c=18.5517 alpha=73.85 beta=90.00 gamma=90.00
Closest atoms and distances in Å follow each position.
Sites, in units of the cell vectors:
1 S 0.0092 0.7698 0.9174  1 P 2.02
2 S 0.6547 0.7582 0.5814  1 P 2.03
3 S 0.4954 0.7713 0.0826  1 P 2.09
4 In 0.1790 0.0017 0.4897  6 S 2.60-2.79
5 S 0.3442 0.7664 0.5788  1 P 2.07
6 P 0.4865 0.8413 0.1839  3 S 2.02-2.09, 1 P 2.25
7 S 0.4908 0.7698 0.4174  1 P 2.02
8 P 0.5135 0.1587 0.8161  3 S 2.02-2.09, 1 P 2.25
9 P 0.0038 0.1577 0.9859  3 S 2.02-2.07, 1 P 2.25
10 P 0.0135 0.8413 0.6839  3 S 2.02-2.09, 1 P 2.25
11 S 0.8442 0.2336 0.9212  1 P 2.07
12 S 0.9908 0.2302 0.0826  1 P 2.02
13 S 0.8453 0.7582 0.0814  1 P 2.03
14 In 0.6790 0.9983 0.0103  6 S 2.60-2.79
15 In 0.3210 0.0017 0.9897  6 S 2.60-2.79
16 In 0.8210 0.9983 0.5103  6 S 2.60-2.79
17 P 0.9915 0.8434 0.3524  3 S 2.02-2.07, 1 P 2.25
18 S 0.6443 0.7559 0.2435  1 P 2.02
19 P 0.4915 0.1567 0.1476  3 S 2.02-2.07, 1 P 2.25
20 P 0.5085 0.8434 0.8524  3 S 2.02-2.07, 1 P 2.25
21 In 0.3516 0.0012 0.6759  6 S 2.64-2.83
22 S 0.3453 0.2418 0.4186  1 P 2.03
23 In 0.1484 0.0012 0.1759  6 S 2.64-2.83
24 S 0.3507 0.7594 0.9129  1 P 2.03
25 S 0.1741 0.7586 0.7406  1 P 2.02
26 S 0.5092 0.2302 0.5826  1 P 2.02
27 S 0.1443 0.2441 0.2565  1 P 2.02
28 P 0.0085 0.1567 0.6476  3 S 2.02-2.07, 1 P 2.25
29 S 0.1493 0.7594 0.4129  1 P 2.03
30 P 0.9865 0.1587 0.3161  3 S 2.02-2.09, 1 P 2.25
31 S 0.9851 0.7611 0.2575  1 P 2.02
32 S 0.6493 0.2406 0.0871  1 P 2.03
33 S 0.0149 0.2389 0.7425  1 P 2.02
34 S 0.3268 0.2280 0.0871  1 P 2.07
35 S 0.3259 0.7586 0.2406  1 P 2.02
36 S 0.8507 0.2406 0.5871  1 P 2.03
37 P 0.4962 0.1577 0.4859  3 S 2.02-2.07, 1 P 2.25
38 P 0.9962 0.8423 0.0141  3 S 2.02-2.07, 1 P 2.25
39 S 0.3557 0.2441 0.7565  1 P 2.02
40 S 0.8259 0.2414 0.2594  1 P 2.02
41 S 0.4851 0.2389 0.2425  1 P 2.02
42 S 0.1732 0.2280 0.5871  1 P 2.07
43 S 0.5046 0.2287 0.9174  1 P 2.09
44 S 0.6558 0.2336 0.4212  1 P 2.07
45 S 0.8557 0.7559 0.7435  1 P 2.02
46 P 0.5038 0.8423 0.5141  3 S 2.02-2.07, 1 P 2.25
47 In 0.8516 0.9988 0.8241  6 S 2.64-2.83
48 S 0.1558 0.7664 0.0788  1 P 2.07
49 In 0.6484 0.9988 0.3241  6 S 2.64-2.83
50 S 0.6732 0.7720 0.9129  1 P 2.07
51 S 0.6741 0.2414 0.7594  1 P 2.02
52 S 0.8268 0.7720 0.4129  1 P 2.07
53 S 0.9954 0.2287 0.4174  1 P 2.09
54 S 0.5149 0.7611 0.7575  1 P 2.02
55 S 0.0046 0.7713 0.5826  1 P 2.09
56 S 0.1547 0.2418 0.9186  1 P 2.03

Properties
ΔE_f ... -678 meV per atom
Density ... 2.88 g cm⁻³



Material: HgNCl
Method: DFT, PBE
State: optimized geometry

Unit cell a=4.1115 b=7.8590 c=11.3898 alpha=90.00 beta=90.00 gamma=90.00
Closest atoms and distances in Å follow each position.
Sites, in units of the cell vectors:
1 N 0.9713 0.5000 0.4508  1 N 1.12
2 Cl 0.5127 0.0000 0.2956  4 Hg 2.85-2.93
3 Cl 0.4873 0.5000 0.2044  4 Hg 2.85-2.93
4 Hg 0.0000 0.2500 0.2500  4 Cl 2.85-2.93, 2 N 3.02
5 Cl 0.5127 0.0000 0.7044  4 Hg 2.85-2.93
6 N 0.0287 0.0000 0.0492  1 N 1.12
7 N 0.0287 0.0000 0.9508  1 N 1.12
8 Hg 0.0000 0.7500 0.2500  4 Cl 2.85-2.93, 2 N 3.02
9 Hg 0.0000 0.7500 0.7500  4 Cl 2.85-2.93, 2 N 3.02
10 Cl 0.4873 0.5000 0.7956  4 Hg 2.85-2.93
11 N 0.9713 0.5000 0.5492  1 N 1.12
12 Hg 0.0000 0.2500 0.7500  4 Cl 2.85-2.93, 2 N 3.02

Properties
Total moment ... 0.00 μB/atom
ΔE to the lowest computed polymorph ... 27 meV per atom
ΔE_f ... -282 meV per atom
Density ... 4.51 g cm⁻³